1.
## Li2AgF3 (PBE-GGA)

Data for Li2AgF3 after structural relaxation.

As for the size of the total moment: 0.000 Bohr magnetons per cell. As for the final energy: -4.253 eV per atom.

The structure belongs to space group Pnma (No. 62); the cell edges are 12.810, 2.942 and 7.610 Å and the angles 90.00°, 90.00° and 90.00°. The distinct sites, in fractional coordinates, are Li at (0.009, 0.250, 0.148), Li at (0.084, 0.750, 0.470), Ag at (0.245, 0.250, 0.664), F at (0.046, 0.250, 0.656), F at (0.088, 0.750, 0.046) and F at (0.164, 0.250, 0.374).

2.
## Sr2GdSbO6 (PBE-GGA)

Data for Sr2GdSbO6 after structural relaxation.

As for the size of the total moment: 28.000 Bohr magnetons per cell. As for the final energy: -7.728 eV per atom.

The structure belongs to space group Fm-3m (No. 225); the cell edges are 8.455, 8.455 and 8.455 Å and the angles 90.00°, 90.00° and 90.00°. The distinct sites, in fractional coordinates, are Sr at (0.250, 0.250, 0.250), Gd at (0.000, 0.000, 0.000), Sb at (0.000, 0.000, 0.500) and O at (0.000, 0.000, 0.264).

3.
## Ba2BrN (PBE-GGA)

Data for Ba2BrN after structural relaxation.

As for the final energy: -4.641 eV per atom.

The structure belongs to space group R-3m (No. 166, hexagonal axes); the cell edges are 4.1958, 4.1958 and 23.9484 Å and the angles 90.00°, 90.00° and 120.00°. The distinct sites, in fractional coordinates, are Ba at (0.0000, 0.0000, 0.2285), Br at (0.0000, 0.0000, 0.0000) and N at (0.0000, 0.0000, 0.5000).

4.
## Na3C (PBE-GGA)

Data for Na3C after structural relaxation.

As for the size of the total moment: 3.997 Bohr magnetons per cell. As for the final energy: -2.235 eV per atom.

The structure belongs to space group Fm-3m (No. 225); the cell edges are 6.665, 6.665 and 6.665 Å and the angles 90.00°, 90.00° and 90.00°. The distinct sites, in fractional coordinates, are Na at (0.000, 0.000, 0.000), Na at (0.250, 0.250, 0.250) and C at (0.000, 0.000, 0.500).

5.
## Sr3Sn4Ir4 (PBE-GGA)

Data for Sr3Sn4Ir4 after structural relaxation.

As for the final energy: -5.645 eV per atom.

The structure belongs to space group I-43m (No. 217); the cell edges are 8.180, 8.180 and 8.180 Å and the angles 90.00°, 90.00° and 90.00°. The distinct sites, in fractional coordinates, are Sr at (0.000, 0.000, 0.500), Sn at (0.193, 0.193, 0.193) and Ir at (0.125, 0.125, 0.875).

6.
## GdZnGe (PBE-GGA)

Data for GdZnGe after structural relaxation.

As for the size of the total moment: 7.241 Bohr magnetons per cell. As for the final energy: -7.299 eV per atom.

The structure belongs to space group P-6m2 (No. 187); the cell edges are 4.2455, 4.2455 and 4.1520 Å and the angles 90.00°, 90.00° and 120.00°. The distinct sites, in fractional coordinates, are Gd at (0.0000, 0.0000, 0.0000), Zn at (0.3333, 0.6667, 0.5000) and Ge at (0.6667, 0.3333, 0.5000).

7.
## Li2PrTl (PBE-GGA)

Data for Li2PrTl after structural relaxation.

As for the final energy: -3.005 eV per atom.

The structure belongs to space group Fm-3m (No. 225); the cell edges are 7.057, 7.057 and 7.057 Å and the angles 90.00°, 90.00° and 90.00°. The distinct sites, in fractional coordinates, are Li at (0.250, 0.250, 0.250), Pr at (0.000, 0.000, 0.000) and Tl at (0.000, 0.000, 0.500).

8.
## LiGdTl2 (PBE-GGA)

Data for LiGdTl2 after structural relaxation.

As for the size of the total moment: 27.687 Bohr magnetons per cell. As for the final energy: -5.474 eV per atom.

The structure belongs to space group Fm-3m (No. 225); the cell edges are 7.358, 7.358 and 7.358 Å and the angles 90.00°, 90.00° and 90.00°. The distinct sites, in fractional coordinates, are Li at (0.000, 0.000, 0.000), Gd at (0.000, 0.000, 0.500) and Tl at (0.250, 0.250, 0.250).

9.
## Hf2SiH (PBE-GGA)

Data for Hf2SiH after structural relaxation.

As for the final energy: -7.901 eV per atom.

The structure belongs to space group I4/mcm (No. 140); the cell edges are 6.530, 6.530 and 5.433 Å and the angles 90.00°, 90.00° and 90.00°. The distinct sites, in fractional coordinates, are Hf at (0.164, 0.336, 0.000), Si at (0.000, 0.000, 0.250) and H at (0.000, 0.500, 0.250).

10.
## Tb2Ge5Ir3 (PBE-GGA)

Data for Tb2Ge5Ir3 after structural relaxation.

As for the size of the total moment: 0.011 Bohr magnetons per cell. As for the final energy: -6.618 eV per atom.

The structure belongs to space group Ibam (No. 72); the cell edges are 10.294, 11.800 and 6.059 Å and the angles 90.00°, 90.00° and 90.00°. The distinct sites, in fractional coordinates, are Tb at (0.229, 0.133, 0.000), Ge at (0.000, 0.000, 0.250), Ge at (0.000, 0.274, 0.250), Ge at (0.160, 0.399, 0.000), Ir at (0.000, 0.500, 0.250) and Ir at (0.112, 0.141, 0.500).

11.
## SmAsSe (PBE-GGA)

Data for SmAsSe after structural relaxation.

As for the size of the total moment: 0.000 Bohr magnetons per cell. As for the final energy: -5.723 eV per atom.

The structure belongs to space group P4/nmm (No. 129, origin choice 2); the cell edges are 3.966, 3.966 and 9.007 Å and the angles 90.00°, 90.00° and 90.00°. The distinct sites, in fractional coordinates, are Sm at (0.250, 0.250, 0.223), As at (0.250, 0.750, 0.500) and Se at (0.250, 0.250, 0.875).

12.
## CeB2Rh3 (PBE-GGA)

Data for CeB2Rh3 after structural relaxation.

As for the final energy: -7.574 eV per atom.

The structure belongs to space group P6/mmm (No. 191); the cell edges are 5.4878, 5.4878 and 3.1182 Å and the angles 90.00°, 90.00° and 120.00°. The distinct sites, in fractional coordinates, are Ce at (0.0000, 0.0000, 0.0000), B at (0.3333, 0.6667, 0.0000) and Rh at (0.0000, 0.5000, 0.5000).